Entry i
CsHfMg14 | PBE-GGA | relaxed

The space group is Amm2 (No. 38) and the conventional cell measures 10.520, 6.713 and 11.302 Å, with angles of 90.00, 90.00 and 90.00 degrees. Symmetry generates all atoms from Cs at (0.000, 0.000, 0.000), Hf at (0.000, 0.000, 0.486), Mg at (0.000, 0.249, 0.749), Mg at (0.244, 0.000, 0.663), Mg at (0.261, 0.234, 0.415), Mg at (0.267, 0.000, 0.175), Mg at (0.500, 0.000, 0.500), Mg at (0.500, 0.000, 0.997) and Mg at (0.500, 0.245, 0.748).



Entry ii
CsHfMg14 | PBE-GGA | relaxed

The space group is P-6m2 (No. 187) and the conventional cell measures 6.6381, 6.6381 and 10.4640 Å, with angles of 90.00, 90.00 and 120.00 degrees. Symmetry generates all atoms from Cs at (0.0000, 0.0000, 0.0000), Hf at (0.0000, 0.0000, 0.5000), Mg at (0.0076, 0.5038, 0.0000), Mg at (0.1713, 0.3425, 0.2679), Mg at (0.5009, 0.0018, 0.5000) and Mg at (0.6667, 0.3333, 0.2468).



How far above the most stable structure does each one sit? In meV/atom: entry i 19; entry ii 0.